# PBE-GGA CsNiCl3, relaxed
# - crystal system = hexagonal
# - calculated total energy (eV per atom) = -3.654
# - E (MP2020) (eV/atom) = -4.02
data_CsNiCl3
_symmetry_space_group_name_H-M 'P 1'
_symmetry_Int_Tables_number 1
_cell_length_a 7.305
_cell_length_b 7.305
_cell_length_c 5.982
_cell_angle_alpha 90.00
_cell_angle_beta 90.00
_cell_angle_gamma 120.00
loop_
_symmetry_equiv_pos_as_xyz
'x,y,z'
loop_
_atom_site_label
_atom_site_type_symbol
_atom_site_fract_x
_atom_site_fract_y
_atom_site_fract_z
Cs1 Cs 0.333 0.667 0.250
Cs2 Cs 0.667 0.333 0.750
Ni1 Ni 0.000 0.000 0.000
Ni2 Ni 0.000 0.000 0.500
Cl1 Cl 0.150 0.300 0.750
Cl2 Cl 0.150 0.850 0.750
Cl3 Cl 0.300 0.150 0.250
Cl4 Cl 0.700 0.850 0.750
Cl5 Cl 0.850 0.150 0.250
Cl6 Cl 0.850 0.700 0.250

---

# PBE-GGA Eu2ErTaO6, relaxed
# - crystal system = cubic
# - calculated total energy (eV per atom) = -9.760
# - E (MP2020) (eV/atom) = -10.17
# - size of the total moment (μB/atom) = 1.40
data_Eu2ErTaO6
_symmetry_space_group_name_H-M 'P 1'
_symmetry_Int_Tables_number 1
_cell_length_a 5.904
_cell_length_b 5.904
_cell_length_c 5.904
_cell_angle_alpha 60.00
_cell_angle_beta 60.00
_cell_angle_gamma 60.00
loop_
_symmetry_equiv_pos_as_xyz
'x,y,z'
loop_
_atom_site_label
_atom_site_type_symbol
_atom_site_fract_x
_atom_site_fract_y
_atom_site_fract_z
Eu1 Eu 0.250 0.250 0.250
Eu2 Eu 0.750 0.750 0.750
Er1 Er 0.000 0.000 0.000
Ta1 Ta 0.500 0.500 0.500
O1 O 0.262 0.262 0.738
O2 O 0.262 0.738 0.262
O3 O 0.262 0.738 0.738
O4 O 0.738 0.262 0.262
O5 O 0.738 0.262 0.738
O6 O 0.738 0.738 0.262